An optimized crystal structure of Nb3NiS6, computed with PBE.

Unit cell a=5.7911 b=5.7911 c=11.8547 alpha=90.00 beta=90.00 gamma=120.00
With the nearest neighbours (Å) after each atom.
Element x y z (fractional)
S (0.3327, 0.0009, 0.8675)  1 Ni 2.38, 3 Nb 2.47-2.51
Nb (0.0000, 0.0000, 0.5000)  6 S 2.48
Ni (0.6667, 0.3333, 0.7500)  6 S 2.38
S (0.6673, 0.6682, 0.1325)  1 Ni 2.38, 3 Nb 2.47-2.51
S (0.3327, 0.3318, 0.6325)  1 Ni 2.38, 3 Nb 2.47-2.51
Nb (0.0000, 0.0000, 0.0000)  6 S 2.48
S (0.3318, 0.3327, 0.3675)  1 Ni 2.38, 3 Nb 2.47-2.51
S (0.0009, 0.6682, 0.3675)  1 Ni 2.38, 3 Nb 2.47-2.51
Nb (0.6667, 0.3333, 0.4969)  6 S 2.47-2.51
S (0.6673, 0.9991, 0.3675)  1 Ni 2.38, 3 Nb 2.47-2.51
Ni (0.3333, 0.6667, 0.2500)  6 S 2.38
S (0.6682, 0.6673, 0.8675)  1 Ni 2.38, 3 Nb 2.47-2.51
S (0.0009, 0.3327, 0.1325)  1 Ni 2.38, 3 Nb 2.47-2.51
S (0.9991, 0.3318, 0.8675)  1 Ni 2.38, 3 Nb 2.47-2.51
S (0.3318, 0.9991, 0.1325)  1 Ni 2.38, 3 Nb 2.47-2.51
Nb (0.6667, 0.3333, 0.0031)  6 S 2.47-2.51
S (0.9991, 0.6673, 0.6325)  1 Ni 2.38, 3 Nb 2.47-2.51
Nb (0.3333, 0.6667, 0.9969)  6 S 2.47-2.51
S (0.6682, 0.0009, 0.6325)  1 Ni 2.38, 3 Nb 2.47-2.51
Nb (0.3333, 0.6667, 0.5031)  6 S 2.47-2.51

Calculated values
Energy of formation from the pure elements: -1.282 eV/atom
Energy with MP2020 corrections: -7.37 eV/atom